# 1
ThCdCu2 | PBE | optimized geometry Values from VASP.

Structure (Quantum ESPRESSO input):
```
&SYSTEM
  ibrav = 0, nat = 16, ntyp = 3
/
ATOMIC_SPECIES
Th 232.04 Th.upf
Cd 112.41 Cd.upf
Cu 63.55 Cu.upf
CELL_PARAMETERS angstrom
6.813 0.000 0.000
0.000 6.813 0.000
0.000 0.000 6.813
ATOMIC_POSITIONS angstrom
Th 0.000 0.000 0.000
Th 0.000 3.407 3.407
Th 3.407 0.000 3.407
Th 3.407 3.407 0.000
Cd 0.000 0.000 3.407
Cd 0.000 3.407 0.000
Cd 3.407 0.000 0.000
Cd 3.407 3.407 3.407
Cu 1.703 1.703 1.703
Cu 1.703 1.703 5.110
Cu 1.703 5.110 1.703
Cu 1.703 5.110 5.110
Cu 5.110 1.703 1.703
Cu 5.110 1.703 5.110
Cu 5.110 5.110 1.703
Cu 5.110 5.110 5.110
```

- electronic total energy (eV for the cell shown) = -68.54
- size of the total moment (Bohr magnetons per cell) = 0.0
- space-group type = No. 225

# 2
TmCdCu4 | PBE | optimized geometry Values from VASP.

Structure (Quantum ESPRESSO input):
```
&SYSTEM
  ibrav = 0, nat = 6, ntyp = 3
/
ATOMIC_SPECIES
Tm 168.93 Tm.upf
Cd 112.41 Cd.upf
Cu 63.55 Cu.upf
CELL_PARAMETERS angstrom
0.000 3.582 3.582
3.582 0.000 3.582
3.582 3.582 0.000
ATOMIC_POSITIONS angstrom
Tm 0.000 0.000 0.000
Cd 5.373 5.373 5.373
Cu 2.691 2.691 2.691
Cu 4.472 4.472 2.691
Cu 4.472 2.691 4.472
Cu 2.691 4.472 4.472
```

- electronic total energy (eV for the cell shown) = -23.31
- space-group type = No. 216

# 3
Y2CdCu2 | PBE | optimized geometry Values from VASP.

Structure (Quantum ESPRESSO input):
```
&SYSTEM
  ibrav = 0, nat = 10, ntyp = 3
/
ATOMIC_SPECIES
Y 88.91 Y.upf
Cd 112.41 Cd.upf
Cu 63.55 Cu.upf
CELL_PARAMETERS angstrom
7.592 0.000 0.000
0.000 7.592 0.000
0.000 0.000 3.682
ATOMIC_POSITIONS angstrom
Y 1.346 2.450 0.000
Y 2.450 6.246 0.000
Y 5.142 1.346 0.000
Y 6.246 5.142 0.000
Cd 0.000 0.000 1.841
Cd 3.796 3.796 1.841
Cu 0.887 4.683 1.841
Cu 2.909 0.887 1.841
Cu 4.683 6.704 1.841
Cu 6.704 2.909 1.841
```

- electronic total energy (eV for the cell shown) = -47.12
- space-group type = No. 127

# 4
DyCd2 | PBE | optimized geometry Values from VASP.

Structure (Quantum ESPRESSO input):
```
&SYSTEM
  ibrav = 0, nat = 3, ntyp = 2
/
ATOMIC_SPECIES
Dy 162.50 Dy.upf
Cd 112.41 Cd.upf
CELL_PARAMETERS angstrom
4.979 0.000 0.000
-2.489 4.312 0.000
0.000 0.000 3.455
ATOMIC_POSITIONS angstrom
Dy 0.000 0.000 0.000
Cd 0.000 2.874 1.727
Cd 2.489 1.437 1.727
```

- electronic total energy (eV for the cell shown) = -7.38
- space-group type = No. 191

# 5
DyCd3 | PBE | optimized geometry Values from VASP.

Structure (Quantum ESPRESSO input):
```
&SYSTEM
  ibrav = 0, nat = 16, ntyp = 2
/
ATOMIC_SPECIES
Dy 162.50 Dy.upf
Cd 112.41 Cd.upf
CELL_PARAMETERS angstrom
7.184 0.000 0.000
0.000 10.926 0.000
0.000 0.000 4.893
ATOMIC_POSITIONS angstrom
Dy 0.000 1.468 1.223
Dy 0.000 9.458 3.670
Dy 3.592 3.995 3.670
Dy 3.592 6.932 1.223
Cd 0.000 3.538 3.670
Cd 0.000 7.389 1.223
Cd 1.546 4.424 1.223
Cd 1.546 6.502 3.670
Cd 2.046 1.039 3.670
Cd 2.046 9.887 1.223
Cd 3.592 1.926 1.223
Cd 3.592 9.001 3.670
Cd 5.138 1.039 3.670
Cd 5.138 9.887 1.223
Cd 5.638 4.424 1.223
Cd 5.638 6.502 3.670
```

- electronic total energy (eV for the cell shown) = -33.89
- space-group type = No. 63

# 6
DyErCd2 | PBE | optimized geometry Values from VASP.

Structure (Quantum ESPRESSO input):
```
&SYSTEM
  ibrav = 0, nat = 16, ntyp = 3
/
ATOMIC_SPECIES
Dy 162.50 Dy.upf
Er 167.26 Er.upf
Cd 112.41 Cd.upf
CELL_PARAMETERS angstrom
7.484 0.000 0.000
0.000 7.484 0.000
0.000 0.000 7.484
ATOMIC_POSITIONS angstrom
Dy 0.000 0.000 0.000
Dy 0.000 3.742 3.742
Dy 3.742 0.000 3.742
Dy 3.742 3.742 0.000
Er 0.000 0.000 3.742
Er 0.000 3.742 0.000
Er 3.742 0.000 0.000
Er 3.742 3.742 3.742
Cd 1.871 1.871 1.871
Cd 1.871 1.871 5.613
Cd 1.871 5.613 1.871
Cd 1.871 5.613 5.613
Cd 5.613 1.871 1.871
Cd 5.613 1.871 5.613
Cd 5.613 5.613 1.871
Cd 5.613 5.613 5.613
```

- electronic total energy (eV for the cell shown) = -49.07
- space-group type = No. 225

# 7
DyCdGa | PBE | optimized geometry Values from VASP.

Structure (Quantum ESPRESSO input):
```
&SYSTEM
  ibrav = 0, nat = 9, ntyp = 3
/
ATOMIC_SPECIES
Dy 162.50 Dy.upf
Cd 112.41 Cd.upf
Ga 69.72 Ga.upf
CELL_PARAMETERS angstrom
7.265 0.000 0.000
-3.632 6.292 0.000
0.000 0.000 4.398
ATOMIC_POSITIONS angstrom
Dy -1.535 2.659 0.000
Dy 3.071 0.000 0.000
Dy 2.097 3.632 0.000
Cd -2.733 4.734 2.199
Cd 0.899 1.557 2.199
Cd 5.467 0.000 2.199
Ga 0.000 0.000 0.000
Ga 0.000 4.194 2.199
Ga 3.632 2.097 2.199
```

- electronic total energy (eV for the cell shown) = -30.29
- space-group type = No. 189

# 8
Dy2CdGe2 | PBE | optimized geometry Values from VASP.

Structure (Quantum ESPRESSO input):
```
&SYSTEM
  ibrav = 0, nat = 10, ntyp = 3
/
ATOMIC_SPECIES
Dy 162.50 Dy.upf
Cd 112.41 Cd.upf
Ge 72.64 Ge.upf
CELL_PARAMETERS angstrom
7.303 0.000 0.000
0.000 7.303 0.000
0.000 0.000 4.218
ATOMIC_POSITIONS angstrom
Dy 1.299 2.352 0.000
Dy 2.352 6.004 0.000
Dy 4.950 1.299 0.000
Dy 6.004 4.950 0.000
Cd 0.000 0.000 2.109
Cd 3.651 3.651 2.109
Ge 0.894 4.545 2.109
Ge 2.758 0.894 2.109
Ge 4.545 6.409 2.109
Ge 6.409 2.758 2.109
```

- electronic total energy (eV for the cell shown) = -45.96
- space-group type = No. 127

# 9
Dy2CdIn | PBE | optimized geometry Values from VASP.

Structure (Quantum ESPRESSO input):
```
&SYSTEM
  ibrav = 0, nat = 16, ntyp = 3
/
ATOMIC_SPECIES
Dy 162.50 Dy.upf
Cd 112.41 Cd.upf
In 114.82 In.upf
CELL_PARAMETERS angstrom
7.505 0.000 0.000
0.000 7.505 0.000
0.000 0.000 7.505
ATOMIC_POSITIONS angstrom
Dy 1.876 1.876 1.876
Dy 1.876 1.876 5.628
Dy 1.876 5.628 1.876
Dy 1.876 5.628 5.628
Dy 5.628 1.876 1.876
Dy 5.628 1.876 5.628
Dy 5.628 5.628 1.876
Dy 5.628 5.628 5.628
Cd 0.000 0.000 0.000
Cd 0.000 3.752 3.752
Cd 3.752 0.000 3.752
Cd 3.752 3.752 0.000
In 0.000 0.000 3.752
In 0.000 3.752 0.000
In 3.752 0.000 0.000
In 3.752 3.752 3.752
```

- electronic total energy (eV for the cell shown) = -58.04
- space-group type = No. 225

# 10
DyCdIn | PBE | optimized geometry Values from VASP.

Structure (Quantum ESPRESSO input):
```
&SYSTEM
  ibrav = 0, nat = 6, ntyp = 3
/
ATOMIC_SPECIES
Dy 162.50 Dy.upf
Cd 112.41 Cd.upf
In 114.82 In.upf
CELL_PARAMETERS angstrom
4.883 0.000 0.000
-2.442 4.229 0.000
0.000 0.000 7.417
ATOMIC_POSITIONS angstrom
Dy 0.000 0.000 1.762
Dy 0.000 0.000 5.655
Cd 0.000 2.819 7.223
Cd 2.442 1.410 0.194
In 0.000 2.819 4.095
In 2.442 1.410 3.322
```

- electronic total energy (eV for the cell shown) = -18.82
- space-group type = No. 164

# 11
DyLuCd2 | PBE | optimized geometry Values from VASP.

Structure (Quantum ESPRESSO input):
```
&SYSTEM
  ibrav = 0, nat = 16, ntyp = 3
/
ATOMIC_SPECIES
Dy 162.50 Dy.upf
Lu 174.97 Lu.upf
Cd 112.41 Cd.upf
CELL_PARAMETERS angstrom
7.428 0.000 0.000
0.000 7.428 0.000
0.000 0.000 7.428
ATOMIC_POSITIONS angstrom
Dy 0.000 0.000 0.000
Dy 0.000 3.714 3.714
Dy 3.714 0.000 3.714
Dy 3.714 3.714 0.000
Lu 0.000 0.000 3.714
Lu 0.000 3.714 0.000
Lu 3.714 0.000 0.000
Lu 3.714 3.714 3.714
Cd 1.857 1.857 1.857
Cd 1.857 1.857 5.571
Cd 1.857 5.571 1.857
Cd 1.857 5.571 5.571
Cd 5.571 1.857 1.857
Cd 5.571 1.857 5.571
Cd 5.571 5.571 1.857
Cd 5.571 5.571 5.571
```

- electronic total energy (eV for the cell shown) = -48.81
- space-group type = No. 225

# 12
DyMgCd2 | PBE | optimized geometry Values from VASP.

Structure (Quantum ESPRESSO input):
```
&SYSTEM
  ibrav = 0, nat = 16, ntyp = 3
/
ATOMIC_SPECIES
Dy 162.50 Dy.upf
Mg 24.30 Mg.upf
Cd 112.41 Cd.upf
CELL_PARAMETERS angstrom
7.218 0.000 0.000
0.000 7.218 0.000
0.000 0.000 7.218
ATOMIC_POSITIONS angstrom
Dy 0.000 0.000 0.000
Dy 0.000 3.609 3.609
Dy 3.609 0.000 3.609
Dy 3.609 3.609 0.000
Mg 0.000 0.000 3.609
Mg 0.000 3.609 0.000
Mg 3.609 0.000 0.000
Mg 3.609 3.609 3.609
Cd 1.805 1.805 1.805
Cd 1.805 1.805 5.414
Cd 1.805 5.414 1.805
Cd 1.805 5.414 5.414
Cd 5.414 1.805 1.805
Cd 5.414 1.805 5.414
Cd 5.414 5.414 1.805
Cd 5.414 5.414 5.414
```

- electronic total energy (eV for the cell shown) = -37.12
- space-group type = No. 225

# 13
Dy4CdNi | PBE | optimized geometry Values from VASP.

Structure (Quantum ESPRESSO input):
```
&SYSTEM
  ibrav = 0, nat = 24, ntyp = 3
/
ATOMIC_SPECIES
Dy 162.50 Dy.upf
Cd 112.41 Cd.upf
Ni 58.69 Ni.upf
CELL_PARAMETERS angstrom
0.000 6.739 6.739
6.739 0.000 6.739
6.739 6.739 0.000
ATOMIC_POSITIONS angstrom
Dy 6.739 6.739 2.506
Dy 6.739 2.506 6.739
Dy 10.972 6.739 6.739
Dy 5.411 5.411 5.411
Dy 8.066 8.066 5.411
Dy 8.066 5.411 8.066
Dy 10.108 10.108 7.573
Dy 10.108 7.573 10.108
Dy 12.644 10.108 10.108
Dy 5.411 8.066 8.066
Dy 2.506 6.739 6.739
Dy 6.739 10.972 6.739
Dy 6.739 6.739 10.972
Dy 7.573 10.108 10.108
Dy 10.108 12.644 10.108
Dy 10.108 10.108 12.644
Cd 2.272 2.272 2.272
Cd 4.467 4.467 2.272
Cd 4.467 2.272 4.467
Cd 2.272 4.467 4.467
Ni 8.190 5.287 5.287
Ni 5.287 8.190 5.287
Ni 5.287 5.287 8.190
Ni 8.190 8.190 8.190
```

- electronic total energy (eV for the cell shown) = -107.61
- space-group type = No. 216

# 14
Dy4CdPd | PBE | optimized geometry Values from VASP.

Structure (Quantum ESPRESSO input):
```
&SYSTEM
  ibrav = 0, nat = 24, ntyp = 3
/
ATOMIC_SPECIES
Dy 162.50 Dy.upf
Cd 112.41 Cd.upf
Pd 106.42 Pd.upf
CELL_PARAMETERS angstrom
0.000 6.863 6.863
6.863 0.000 6.863
6.863 6.863 0.000
ATOMIC_POSITIONS angstrom
Dy 6.863 6.863 2.519
Dy 6.863 2.519 6.863
Dy 11.207 6.863 6.863
Dy 5.439 5.439 5.439
Dy 8.287 8.287 5.439
Dy 8.287 5.439 8.287
Dy 10.295 10.295 7.705
Dy 10.295 7.705 10.295
Dy 12.885 10.295 10.295
Dy 5.439 8.287 8.287
Dy 2.519 6.863 6.863
Dy 6.863 11.207 6.863
Dy 6.863 6.863 11.207
Dy 7.705 10.295 10.295
Dy 10.295 12.885 10.295
Dy 10.295 10.295 12.885
Cd 2.302 2.302 2.302
Cd 4.561 4.561 2.302
Cd 4.561 2.302 4.561
Cd 2.302 4.561 4.561
Pd 8.316 5.411 5.411
Pd 5.411 8.316 5.411
Pd 5.411 5.411 8.316
Pd 8.316 8.316 8.316
```

- electronic total energy (eV for the cell shown) = -108.89
- space-group type = No. 216

# 15
DyCdPt2 | PBE | optimized geometry Values from VASP.

Structure (Quantum ESPRESSO input):
```
&SYSTEM
  ibrav = 0, nat = 16, ntyp = 3
/
ATOMIC_SPECIES
Dy 162.50 Dy.upf
Cd 112.41 Cd.upf
Pt 195.08 Pt.upf
CELL_PARAMETERS angstrom
6.798 0.000 0.000
0.000 6.798 0.000
0.000 0.000 6.798
ATOMIC_POSITIONS angstrom
Dy 0.000 0.000 0.000
Dy 0.000 3.399 3.399
Dy 3.399 0.000 3.399
Dy 3.399 3.399 0.000
Cd 0.000 0.000 3.399
Cd 0.000 3.399 0.000
Cd 3.399 0.000 0.000
Cd 3.399 3.399 3.399
Pt 1.699 1.699 1.699
Pt 1.699 1.699 5.098
Pt 1.699 5.098 1.699
Pt 1.699 5.098 5.098
Pt 5.098 1.699 1.699
Pt 5.098 1.699 5.098
Pt 5.098 5.098 1.699
Pt 5.098 5.098 5.098
```

- electronic total energy (eV for the cell shown) = -83.88
- space-group type = No. 225

# 16
Dy4CdPt | PBE | optimized geometry Values from VASP.

Structure (Quantum ESPRESSO input):
```
&SYSTEM
  ibrav = 0, nat = 24, ntyp = 3
/
ATOMIC_SPECIES
Dy 162.50 Dy.upf
Cd 112.41 Cd.upf
Pt 195.08 Pt.upf
CELL_PARAMETERS angstrom
0.000 6.862 6.862
6.862 0.000 6.862
6.862 6.862 0.000
ATOMIC_POSITIONS angstrom
Dy 6.862 6.862 2.538
Dy 6.862 2.538 6.862
Dy 11.186 6.862 6.862
Dy 5.468 5.468 5.468
Dy 8.256 8.256 5.468
Dy 8.256 5.468 8.256
Dy 10.293 10.293 7.689
Dy 10.293 7.689 10.293
Dy 12.896 10.293 10.293
Dy 5.468 8.256 8.256
Dy 2.538 6.862 6.862
Dy 6.862 11.186 6.862
Dy 6.862 6.862 11.186
Dy 7.689 10.293 10.293
Dy 10.293 12.896 10.293
Dy 10.293 10.293 12.896
Cd 2.307 2.307 2.307
Cd 4.554 4.554 2.307
Cd 4.554 2.307 4.554
Cd 2.307 4.554 4.554
Pt 8.330 5.393 5.393
Pt 5.393 8.330 5.393
Pt 5.393 5.393 8.330
Pt 8.330 8.330 8.330
```

- electronic total energy (eV for the cell shown) = -116.20
- space-group type = No. 216

# 17
DyCdRh2 | PBE | optimized geometry Values from VASP.

Structure (Quantum ESPRESSO input):
```
&SYSTEM
  ibrav = 0, nat = 16, ntyp = 3
/
ATOMIC_SPECIES
Dy 162.50 Dy.upf
Cd 112.41 Cd.upf
Rh 102.91 Rh.upf
CELL_PARAMETERS angstrom
6.653 0.000 0.000
0.000 6.653 0.000
0.000 0.000 6.653
ATOMIC_POSITIONS angstrom
Dy 0.000 0.000 0.000
Dy 0.000 3.327 3.327
Dy 3.327 0.000 3.327
Dy 3.327 3.327 0.000
Cd 0.000 0.000 3.327
Cd 0.000 3.327 0.000
Cd 3.327 0.000 0.000
Cd 3.327 3.327 3.327
Rh 1.663 1.663 1.663
Rh 1.663 1.663 4.990
Rh 1.663 4.990 1.663
Rh 1.663 4.990 4.990
Rh 4.990 1.663 1.663
Rh 4.990 1.663 4.990
Rh 4.990 4.990 1.663
Rh 4.990 4.990 4.990
```

- electronic total energy (eV for the cell shown) = -90.11
- space-group type = No. 225

# 18
Dy2CdS4 | PBE | optimized geometry Values from VASP.

Structure (Quantum ESPRESSO input):
```
&SYSTEM
  ibrav = 0, nat = 14, ntyp = 3
/
ATOMIC_SPECIES
Dy 162.50 Dy.upf
Cd 112.41 Cd.upf
S 32.06 S.upf
CELL_PARAMETERS angstrom
0.000 5.651 5.651
5.651 0.000 5.651
5.651 5.651 0.000
ATOMIC_POSITIONS angstrom
Dy 0.000 0.000 0.000
Dy 2.826 2.826 0.000
Dy 2.826 0.000 2.826
Dy 0.000 2.826 2.826
Cd 4.238 4.238 4.238
Cd 7.064 7.064 7.064
S 8.561 5.567 5.567
S 2.742 2.742 2.742
S 5.735 5.735 2.742
S 5.735 2.742 5.735
S 5.567 8.561 5.567
S 5.567 5.567 8.561
S 8.561 8.561 8.561
S 2.742 5.735 5.735
```

- electronic total energy (eV for the cell shown) = -76.65
- space-group type = No. 227

# 19
Dy2CdSe4 | PBE | optimized geometry Values from VASP.

Structure (Quantum ESPRESSO input):
```
&SYSTEM
  ibrav = 0, nat = 14, ntyp = 3
/
ATOMIC_SPECIES
Dy 162.50 Dy.upf
Cd 112.41 Cd.upf
Se 78.96 Se.upf
CELL_PARAMETERS angstrom
0.000 5.909 5.909
5.909 0.000 5.909
5.909 5.909 0.000
ATOMIC_POSITIONS angstrom
Dy 0.000 0.000 0.000
Dy 2.954 2.954 0.000
Dy 2.954 0.000 2.954
Dy 0.000 2.954 2.954
Cd 4.431 4.431 4.431
Cd 7.386 7.386 7.386
Se 8.946 5.826 5.826
Se 2.871 2.871 2.871
Se 5.992 5.992 2.871
Se 5.992 2.871 5.992
Se 5.826 8.946 5.826
Se 5.826 5.826 8.946
Se 8.946 8.946 8.946
Se 2.871 5.992 5.992
```

- electronic total energy (eV for the cell shown) = -69.35
- space-group type = No. 227

# 20
Dy2TlCd | PBE | optimized geometry Values from VASP.

Structure (Quantum ESPRESSO input):
```
&SYSTEM
  ibrav = 0, nat = 16, ntyp = 3
/
ATOMIC_SPECIES
Dy 162.50 Dy.upf
Tl 204.38 Tl.upf
Cd 112.41 Cd.upf
CELL_PARAMETERS angstrom
7.540 0.000 0.000
0.000 7.540 0.000
0.000 0.000 7.540
ATOMIC_POSITIONS angstrom
Dy 1.885 1.885 1.885
Dy 1.885 1.885 5.655
Dy 1.885 5.655 1.885
Dy 1.885 5.655 5.655
Dy 5.655 1.885 1.885
Dy 5.655 1.885 5.655
Dy 5.655 5.655 1.885
Dy 5.655 5.655 5.655
Tl 0.000 0.000 0.000
Tl 0.000 3.770 3.770
Tl 3.770 0.000 3.770
Tl 3.770 3.770 0.000
Cd 0.000 0.000 3.770
Cd 0.000 3.770 0.000
Cd 3.770 0.000 0.000
Cd 3.770 3.770 3.770
```

- electronic total energy (eV for the cell shown) = -55.44
- space-group type = No. 225